Entry from the Materials Project database: Lu6InCo2 after structural relaxation (PBE).

Computed properties:
Energy of formation in eV per atom: -0.310

a = 9.261 Å, b = 9.393 Å, c = 9.865 Å
α = 90.00°, β = 90.00°, γ = 90.00°
Space group Immm (No. 71)
One atom of each set of equivalent atoms:
Lu  0.000  0.210  0.236 x8
Lu  0.195  0.500  0.183 x8
Lu  0.213  0.314  0.500 x8
In  0.000  0.000  0.000 x2
In  0.000  0.000  0.500 x2
Co  0.000  0.371  0.000 x4
Co  0.000  0.500  0.386 x4

Entry from the Materials Project database: InCo3N after structural relaxation (PBE).

Computed properties:
Energy of formation in eV per atom: -0.117

a = 3.853 Å, b = 3.853 Å, c = 3.853 Å
α = 90.00°, β = 90.00°, γ = 90.00°
Space group Pm-3m (No. 221)
One atom of each set of equivalent atoms:
In  0.000  0.000  0.000 x1
Co  0.000  0.500  0.500 x3
N  0.500  0.500  0.500 x1

Entry from the Materials Project database: InCo2N2 after structural relaxation (PBE).

Computed properties:
Energy of formation in eV per atom: 0.121

a = 5.452 Å, b = 3.161 Å, c = 7.793 Å
α = 90.00°, β = 104.51°, γ = 90.00°
Space group C2/m (No. 12)
One atom of each set of equivalent atoms:
In  0.000  0.000  0.000 x2
Co  0.127  0.000  0.392 x4
N  0.223  0.000  0.655 x4

Entry from the Materials Project database: Nd12InCo6 after structural relaxation (PBE).

Computed properties:
Energy of formation in eV per atom: -0.137

a = 10.009 Å, b = 10.009 Å, c = 10.009 Å
α = 90.00°, β = 90.00°, γ = 90.00°
Space group Im-3 (No. 204)
One atom of each set of equivalent atoms:
Nd  0.000  0.306  0.191 x24
In  0.000  0.000  0.000 x2
Co  0.000  0.112  0.500 x12

Entry from the Materials Project database: NdIn5Co after structural relaxation (PBE).

Computed properties:
Energy of formation in eV per atom: -0.264

a = 4.648 Å, b = 4.648 Å, c = 7.588 Å
α = 90.00°, β = 90.00°, γ = 90.00°
Space group P4/mmm (No. 123)
One atom of each set of equivalent atoms:
Nd  0.000  0.000  0.000 x1
In  0.000  0.500  0.308 x4
In  0.500  0.500  0.000 x1
Co  0.000  0.000  0.500 x1

Entry from the Materials Project database: Ti8InCo3NiSn3 after structural relaxation (PBE).

Computed properties:
Energy of formation in eV per atom: -0.162

a = 4.5306 Å, b = 4.5306 Å, c = 44.3437 Å
α = 90.00°, β = 90.00°, γ = 120.00°
Space group R3m (No. 160, hexagonal axes)
One atom of each set of equivalent atoms:
Ti  0.0000  0.0000  0.0000 x3
Ti  0.0000  0.0000  0.1230 x3
Ti  0.0000  0.0000  0.2474 x3
Ti  0.0000  0.0000  0.3724 x3
Ti  0.0000  0.0000  0.4987 x3
Ti  0.0000  0.0000  0.6233 x3
Ti  0.0000  0.0000  0.7483 x3
Ti  0.0000  0.0000  0.8734 x3
In  0.0000  0.0000  0.9367 x3
Co  0.0000  0.0000  0.0625 x3
Co  0.0000  0.0000  0.5636 x3
Co  0.0000  0.0000  0.8090 x3
Ni  0.0000  0.0000  0.3009 x3
Sn  0.0000  0.0000  0.1851 x3
Sn  0.0000  0.0000  0.4355 x3
Sn  0.0000  0.0000  0.6857 x3

Entry from the Materials Project database: Ti4In2CoNi after structural relaxation (PBE).

Computed properties:
Energy of formation in eV per atom: -0.080

a = 4.5431 Å, b = 4.5431 Å, c = 22.2431 Å
α = 90.00°, β = 90.00°, γ = 120.00°
Space group R-3m (No. 166, hexagonal axes)
One atom of each set of equivalent atoms:
Ti  0.0000  0.0000  0.1249 x6
Ti  0.0000  0.0000  0.3750 x6
In  0.0000  0.0000  0.2501 x6
Co  0.0000  0.0000  0.0000 x3
Ni  0.0000  0.0000  0.5000 x3

Entry from the Materials Project database: PrInCo2 after structural relaxation (PBE).

Computed properties:
Energy of formation in eV per atom: -0.181

a = 5.150 Å, b = 3.991 Å, c = 7.373 Å
α = 90.00°, β = 90.00°, γ = 90.00°
Space group Pmma (No. 51)
One atom of each set of equivalent atoms:
Pr  0.250  0.000  0.212 x2
In  0.250  0.500  0.835 x2
Co  0.000  0.500  0.500 x2
Co  0.250  0.000  0.577 x2

Q: What is the formula in the second record?
A: InCo3N

Q: What is the energy of formation in the sixth record?
A: -0.162 eV per atom

Q: Which of these has the lowest energy of formation?
A: Lu6InCo2